VASP calculation (GGA-PBE) on a relaxed structure of VCu13As3S16.

Calculated values
- Calculated density: 4.48 g/cm³
- E_tot: -303.78 eV/cell
- Space-group type: P-43n (218)
- ΔE_f: -17.4 eV/f.u.

Cell: 10.622 10.622 10.622 Å, 90.00 90.00 90.00°
Fractional positions:
V: 0.500 0.500 0.500
V: 0.000 0.000 0.000
Cu: 0.500 0.500 0.243
Cu: 0.500 0.757 0.500
Cu: 0.243 0.500 0.500
Cu: 0.500 0.243 0.500
Cu: 0.757 0.500 0.500
Cu: 0.500 0.500 0.757
Cu: 0.000 0.743 0.000
Cu: 0.000 0.000 0.257
Cu: 0.743 0.000 0.000
Cu: 0.000 0.000 0.743
Cu: 0.257 0.000 0.000
Cu: 0.000 0.257 0.000
Cu: 0.250 0.750 0.250
Cu: 0.750 0.250 0.250
Cu: 0.250 0.250 0.750
Cu: 0.750 0.750 0.750
Cu: 0.750 0.750 0.250
Cu: 0.250 0.750 0.750
Cu: 0.750 0.250 0.750
Cu: 0.250 0.250 0.250
Cu: 0.000 0.500 0.250
Cu: 0.500 0.750 0.000
Cu: 0.250 0.000 0.500
Cu: 0.500 0.250 0.000
Cu: 0.750 0.000 0.500
Cu: 0.000 0.500 0.750
As: 0.500 0.000 0.250
As: 0.000 0.750 0.500
As: 0.250 0.500 0.000
As: 0.000 0.250 0.500
As: 0.750 0.500 0.000
As: 0.500 0.000 0.750
S: 0.379 0.621 0.379
S: 0.621 0.379 0.379
S: 0.379 0.379 0.621
S: 0.621 0.621 0.621
S: 0.879 0.879 0.121
S: 0.121 0.879 0.879
S: 0.879 0.121 0.879
S: 0.121 0.121 0.121
S: 0.375 0.871 0.126
S: 0.129 0.874 0.375
S: 0.126 0.625 0.129
S: 0.625 0.129 0.126
S: 0.871 0.126 0.375
S: 0.874 0.375 0.129
S: 0.375 0.129 0.874
S: 0.129 0.126 0.625
S: 0.126 0.375 0.871
S: 0.625 0.871 0.874
S: 0.871 0.874 0.625
S: 0.874 0.625 0.871
S: 0.875 0.626 0.371
S: 0.629 0.875 0.374
S: 0.626 0.629 0.125
S: 0.125 0.626 0.629
S: 0.371 0.875 0.626
S: 0.374 0.629 0.875
S: 0.875 0.374 0.629
S: 0.629 0.125 0.626
S: 0.626 0.371 0.875
S: 0.125 0.374 0.371
S: 0.371 0.125 0.374
S: 0.374 0.371 0.125

***

VASP calculation (GGA-PBE) on a relaxed structure of Zn3Cu6As4S12.

Calculated values
- Calculated density: 4.29 g/cm³
- E_tot: -105.05 eV/cell
- Space-group type: P1 (1)
- ΔE_f: -14.4 eV/f.u.

Cell: 8.356 8.413 8.433 Å, 107.55 107.46 107.11°
Fractional positions:
Zn: 0.403 0.169 0.460
Zn: 0.072 0.217 0.703
Zn: 0.229 0.703 0.075
Cu: 0.166 0.456 0.393
Cu: 0.458 0.399 0.169
Cu: 0.706 0.075 0.219
Cu: 0.297 0.909 0.762
Cu: 0.909 0.761 0.304
Cu: 0.763 0.301 0.915
As: 0.975 0.986 0.978
As: 0.564 0.623 0.851
As: 0.621 0.842 0.556
As: 0.842 0.562 0.614
S: 0.224 0.133 0.925
S: 0.127 0.917 0.217
S: 0.920 0.221 0.135
S: 0.292 0.366 0.610
S: 0.363 0.610 0.297
S: 0.617 0.295 0.358
S: 0.450 0.825 0.978
S: 0.814 0.976 0.440
S: 0.975 0.445 0.821
S: 0.510 0.052 0.668
S: 0.052 0.661 0.508
S: 0.663 0.509 0.055

***

VASP calculation (GGA-PBE) on a relaxed structure of Cu6SbAs.

Calculated values
- Calculated density: 8.39 g/cm³
- E_tot: -129.94 eV/cell
- Space-group type: Ama2 (40)
- ΔE_f: 0.9 eV/f.u.

Cell: 7.698 7.698 7.721 Å, 90.00 90.00 90.29°
Fractional positions:
Cu: 0.503 0.838 0.545
Cu: 0.792 0.997 0.420
Cu: 0.672 0.711 0.250
Cu: 0.504 0.162 0.955
Cu: 0.205 0.997 0.088
Cu: 0.337 0.292 0.250
Cu: 0.504 0.162 0.545
Cu: 0.205 0.997 0.412
Cu: 0.503 0.838 0.955
Cu: 0.792 0.997 0.080
Cu: 0.663 0.292 0.250
Cu: 0.328 0.710 0.250
Cu: 0.838 0.503 0.045
Cu: 0.997 0.792 0.920
Cu: 0.711 0.672 0.750
Cu: 0.162 0.504 0.455
Cu: 0.997 0.205 0.588
Cu: 0.292 0.337 0.750
Cu: 0.162 0.504 0.045
Cu: 0.997 0.205 0.912
Cu: 0.838 0.503 0.455
Cu: 0.997 0.792 0.580
Cu: 0.292 0.663 0.750
Cu: 0.710 0.328 0.750
Sb: 0.500 0.500 0.500
Sb: 0.249 0.000 0.750
Sb: 0.000 0.249 0.250
Sb: 0.500 0.500 0.000
As: 0.501 0.999 0.250
As: 0.999 0.501 0.750
As: 0.750 0.001 0.750
As: 0.001 0.750 0.250

***

VASP calculation (GGA-PBE) on a relaxed structure of CuAsSe2.

Calculated values
- Calculated density: 4.93 g/cm³
- E_tot: -15.83 eV/cell
- Space-group type: P-4m2 (115)
- ΔE_f: -1.0 eV/f.u.

Cell: 4.215 4.215 5.613 Å, 90.00 90.00 90.00°
Fractional positions:
Cu: 0.000 0.000 0.000
As: 0.500 0.500 0.500
Se: 0.000 0.500 0.217
Se: 0.500 0.000 0.783

***

VASP calculation (GGA-PBE) on a relaxed structure of CuAsSe2.

Calculated values
- Largest piezoelectric modulus: 1.4 C/m2
- Calculated density: 5.03 g/cm³
- E_tot: -15.85 eV/cell
- Space-group type: R3m (160)
- ΔE_f: -1.0 eV/f.u.

Cell: 6.382 6.382 6.382 Å, 40.24 40.24 40.24°
Fractional positions:
Cu: 0.492 0.492 0.492
As: 0.995 0.995 0.995
Se: 0.132 0.132 0.132
Se: 0.632 0.632 0.632

***

VASP calculation (GGA-PBE) on a relaxed structure of CuAsSe2.

Calculated values
- Calculated density: 4.93 g/cm³
- E_tot: -31.50 eV/cell
- Space-group type: I-42d (122)
- ΔE_f: -0.9 eV/f.u.

Cell: 7.220 7.220 7.220 Å, 132.69 132.69 69.15°
Fractional positions:
Cu: 0.250 0.750 0.500
Cu: 0.500 0.500 0.000
As: 0.750 0.250 0.500
As: 0.000 0.000 0.000
Se: 0.875 0.406 0.031
Se: 0.156 0.125 0.531
Se: 0.375 0.844 0.969
Se: 0.594 0.625 0.469

***

Number 1: magnetic moment 0.0 μB/cell. Number 2: magnetic moment 0.0 μB/cell. Number 3: magnetic moment 0.0 μB/cell. Number 4: magnetic moment 0.0 μB/cell. Number 5: magnetic moment 0.0 μB/cell. Number 6: magnetic moment 0.0 μB/cell.